# 1
BaPrEuNbO6 after structural relaxation. Source: the Materials Project database, functional PBE.

- Energy above the lowest structure with this stoichiometry: 60 meV/atom
- Calculated formation energy: -3.26 eV/atom
- Electronic total energy: -8.52 eV/atom

a = 8.698 Å, b = 8.698 Å, c = 8.698 Å
α = 90.00°, β = 90.00°, γ = 90.00°
Space group F-43m (No. 216)
One atom of each set of equivalent atoms:
Ba 0.000 0.000 0.000 (multiplicity 4)
Pr 0.250 0.250 0.250 (multiplicity 4)
Eu 0.000 0.000 0.500 (multiplicity 4)
Nb 0.250 0.250 0.750 (multiplicity 4)
O 0.018 0.250 0.750 (multiplicity 24)


# 2
BaPrEuNbO6 after structural relaxation. Source: the Materials Project database, functional PBE.

- Energy above the lowest structure with this stoichiometry: 0 meV/atom
- Calculated formation energy: -3.32 eV/atom
- Electronic total energy: -8.58 eV/atom

a = 8.584 Å, b = 8.654 Å, c = 8.674 Å
α = 90.00°, β = 90.00°, γ = 90.00°
Space group Pnnn (No. 48, origin choice 2)
One atom of each set of equivalent atoms:
Ba 0.250 0.250 0.250 (multiplicity 2)
Ba 0.250 0.750 0.250 (multiplicity 2)
Pr 0.000 0.000 0.000 (multiplicity 4)
Eu 0.250 0.250 0.750 (multiplicity 2)
Eu 0.250 0.750 0.750 (multiplicity 2)
Nb 0.000 0.000 0.500 (multiplicity 4)
O 0.038 0.045 0.730 (multiplicity 8)
O 0.044 0.730 0.961 (multiplicity 8)
O 0.230 0.032 0.462 (multiplicity 8)


# 3
BaSrEuNbO6 after structural relaxation. Source: the Materials Project database, functional PBE.

- Energy above the lowest structure with this stoichiometry: 43 meV/atom
- Calculated formation energy: -3.18 eV/atom
- Electronic total energy: -8.13 eV/atom

a = 8.589 Å, b = 8.589 Å, c = 8.589 Å
α = 90.00°, β = 90.00°, γ = 90.00°
Space group F-43m (No. 216)
One atom of each set of equivalent atoms:
Ba 0.000 0.000 0.000 (multiplicity 4)
Sr 0.000 0.000 0.500 (multiplicity 4)
Eu 0.250 0.250 0.750 (multiplicity 4)
Nb 0.250 0.250 0.250 (multiplicity 4)
O 0.015 0.250 0.250 (multiplicity 24)


# 4
BaSrEuNbO6 after structural relaxation. Source: the Materials Project database, functional PBE.

- Energy above the lowest structure with this stoichiometry: 3 meV/atom
- Calculated formation energy: -3.21 eV/atom
- Electronic total energy: -8.17 eV/atom

a = 8.522 Å, b = 8.524 Å, c = 8.541 Å
α = 90.00°, β = 90.00°, γ = 90.00°
Space group P222 (No. 16)
One atom of each set of equivalent atoms:
Ba 0.000 0.000 0.000 (multiplicity 1)
Ba 0.000 0.000 0.500 (multiplicity 1)
Ba 0.500 0.000 0.000 (multiplicity 1)
Ba 0.500 0.500 0.500 (multiplicity 1)
Sr 0.000 0.500 0.000 (multiplicity 1)
Sr 0.000 0.500 0.500 (multiplicity 1)
Sr 0.500 0.000 0.500 (multiplicity 1)
Sr 0.500 0.500 0.000 (multiplicity 1)
Eu 0.251 0.253 0.750 (multiplicity 4)
Nb 0.250 0.254 0.251 (multiplicity 4)
O 0.016 0.224 0.276 (multiplicity 4)
O 0.215 0.285 0.017 (multiplicity 4)
O 0.215 0.483 0.293 (multiplicity 4)
O 0.274 0.018 0.222 (multiplicity 4)
O 0.291 0.218 0.482 (multiplicity 4)
O 0.482 0.291 0.213 (multiplicity 4)


# 5
BaSrEuNbO6 after structural relaxation. Source: the Materials Project database, functional PBE.

- Energy above the lowest structure with this stoichiometry: 0 meV/atom
- Calculated formation energy: -3.22 eV/atom
- Electronic total energy: -8.17 eV/atom

a = 6.003 Å, b = 6.070 Å, c = 8.523 Å
α = 90.35°, β = 90.34°, γ = 90.22°
Space group P-1 (No. 2)
One atom of each set of equivalent atoms:
Ba 0.006 0.030 0.250 (multiplicity 2)
Sr 0.491 0.539 0.251 (multiplicity 2)
Eu 0.000 0.500 0.500 (multiplicity 1)
Eu 0.500 0.000 0.000 (multiplicity 1)
Nb 0.000 0.500 0.000 (multiplicity 1)
Nb 0.500 0.000 0.500 (multiplicity 1)
O 0.083 0.508 0.768 (multiplicity 2)
O 0.199 0.765 0.039 (multiplicity 2)
O 0.234 0.800 0.467 (multiplicity 2)
O 0.268 0.306 0.044 (multiplicity 2)
O 0.310 0.272 0.457 (multiplicity 2)
O 0.436 0.032 0.732 (multiplicity 2)


# 6
BaEu2O4 after structural relaxation. Source: the Materials Project database, functional PBE.

- Calculated formation energy: -3.09 eV/atom
- Electronic total energy: -8.73 eV/atom

a = 10.608 Å, b = 3.581 Å, c = 12.466 Å
α = 90.00°, β = 90.00°, γ = 90.00°
Space group Pnma (No. 62)
One atom of each set of equivalent atoms:
Ba 0.248 0.250 0.150 (multiplicity 4)
Eu 0.075 0.250 0.388 (multiplicity 4)
Eu 0.078 0.250 0.891 (multiplicity 4)
O 0.015 0.750 0.784 (multiplicity 4)
O 0.073 0.250 0.576 (multiplicity 4)
O 0.118 0.750 0.019 (multiplicity 4)
O 0.213 0.750 0.332 (multiplicity 4)


# 7
BaSmEuSbO6 after structural relaxation. Source: the Materials Project database, functional PBE.

- Energy above the lowest structure with this stoichiometry: 0 meV/atom
- Calculated formation energy: -3.01 eV/atom
- Electronic total energy: -7.66 eV/atom

a = 8.508 Å, b = 8.519 Å, c = 8.522 Å
α = 90.00°, β = 90.00°, γ = 90.00°
Space group P222 (No. 16)
One atom of each set of equivalent atoms:
Ba 0.000 0.000 0.000 (multiplicity 1)
Ba 0.000 0.000 0.500 (multiplicity 1)
Ba 0.500 0.000 0.000 (multiplicity 1)
Ba 0.500 0.500 0.500 (multiplicity 1)
Sm 0.251 0.253 0.251 (multiplicity 4)
Eu 0.000 0.500 0.000 (multiplicity 1)
Eu 0.000 0.500 0.500 (multiplicity 1)
Eu 0.500 0.000 0.500 (multiplicity 1)
Eu 0.500 0.500 0.000 (multiplicity 1)
Sb 0.250 0.253 0.749 (multiplicity 4)
O 0.016 0.227 0.724 (multiplicity 4)
O 0.216 0.484 0.710 (multiplicity 4)
O 0.217 0.285 0.983 (multiplicity 4)
O 0.273 0.018 0.776 (multiplicity 4)
O 0.290 0.219 0.518 (multiplicity 4)
O 0.482 0.289 0.785 (multiplicity 4)


# 8
BaSmEuSbO6 after structural relaxation. Source: the Materials Project database, functional PBE.

- Energy above the lowest structure with this stoichiometry: 26 meV/atom
- Calculated formation energy: -2.98 eV/atom
- Electronic total energy: -7.64 eV/atom

a = 8.555 Å, b = 8.555 Å, c = 8.555 Å
α = 90.00°, β = 90.00°, γ = 90.00°
Space group F-43m (No. 216)
One atom of each set of equivalent atoms:
Ba 0.000 0.000 0.000 (multiplicity 4)
Sm 0.250 0.250 0.250 (multiplicity 4)
Eu 0.000 0.000 0.500 (multiplicity 4)
Sb 0.250 0.250 0.750 (multiplicity 4)
O 0.016 0.250 0.750 (multiplicity 24)


The lowest electronic total energy belongs to which entry?
BaEu2O4


Among the records above, which one has the lowest electronic total energy?
BaEu2O4


calculated formation energy of number 8 (BaSmEuSbO6)?
-2.98 eV/atom